# EuCuMo2O8 PBE+U optimized geometry
# energy relative to the elements	-2.135	eV/atom
data_EuCuMo2O8
_space_group_name_H-M_alt 'P b c a'
_space_group_IT_number 61
_cell_length_a 10.065
_cell_length_b 15.077
_cell_length_c 10.583
_cell_angle_alpha 90.00
_cell_angle_beta 90.00
_cell_angle_gamma 90.00
loop_
_space_group_symop_operation_xyz
'x,y,z'
'-x,-y,-z'
'-x+1/2,-y,z+1/2'
'x+1/2,y,-z+1/2'
'x+1/2,-y+1/2,-z'
'-x+1/2,y+1/2,z'
'-x,y+1/2,-z+1/2'
'x,-y+1/2,z+1/2'
loop_
_atom_site_label
_atom_site_type_symbol
_atom_site_fract_x
_atom_site_fract_y
_atom_site_fract_z
Eu1 Eu 0.224 0.102 0.034
Cu1 Cu 0.198 0.200 0.684
Mo1 Mo 0.000 0.057 0.722
Mo2 Mo 0.169 0.655 0.396
O1 O 0.006 0.167 0.090
O2 O 0.090 0.525 0.136
O3 O 0.097 0.623 0.883
O4 O 0.108 0.505 0.666
O5 O 0.115 0.131 0.810
O6 O 0.209 0.542 0.421
O7 O 0.227 0.686 0.239
O8 O 0.248 0.225 0.514